(1)
The following is a DFT calculation (PBE) of a relaxed Na3SrPCO7 crystal.

Cell lengths 7.318, 5.243, 9.413 Å; angles 89.55, 90.00, 90.00 degrees
Element x y z (fractional)
O1 0.750 0.717 0.914
Na1 0.988 0.762 0.750
Na2 0.250 0.759 0.083
O2 0.079 0.810 0.322
O3 0.250 0.475 0.871
C1 0.250 0.267 0.948
O4 0.250 0.764 0.563
Na3 0.512 0.762 0.750
O5 0.750 0.525 0.129
O6 0.750 0.596 0.611
O7 0.921 0.190 0.678
Sr1 0.250 0.239 0.631
P1 0.250 0.701 0.400
Na4 0.750 0.241 0.917
O8 0.421 0.810 0.322
Na5 0.488 0.238 0.250
O9 0.750 0.957 0.112
O10 0.250 0.283 0.086
O11 0.750 0.236 0.437
O12 0.250 0.043 0.888
Sr2 0.750 0.761 0.369
C2 0.750 0.733 0.052
O13 0.579 0.190 0.678
O14 0.250 0.404 0.389
Na6 0.012 0.238 0.250
P2 0.750 0.299 0.600

Summary:
symmetry: P2_1/m
DFT formation energy: -2.583 eV/atom

(2)
The following is a DFT calculation (PBE) of a relaxed MgP2H8O10 crystal.

Cell lengths 5.396, 7.311, 9.982 Å; angles 90.00, 90.00, 94.65 degrees
Element x y z (fractional)
Mg1 0.000 0.000 0.000
O1 0.231 0.366 0.368
O2 0.510 0.384 0.161
O3 0.354 0.357 0.671
O4 0.756 0.295 0.461
H1 0.808 0.232 0.543
H2 0.192 0.768 0.457
H3 0.405 0.511 0.784
O5 0.269 0.134 0.868
O6 0.744 0.205 0.961
O7 0.731 0.866 0.132
H4 0.921 0.337 0.420
H5 0.421 0.837 0.080
O8 0.854 0.857 0.829
P1 0.735 0.836 0.284
O9 0.646 0.643 0.329
H6 0.905 0.011 0.716
H7 0.635 0.093 0.386
P2 0.235 0.336 0.216
O10 0.061 0.470 0.144
P3 0.265 0.164 0.716
Mg2 0.500 0.500 0.500
O11 0.256 0.795 0.039
O12 0.769 0.634 0.632
H8 0.865 0.407 0.886
O13 0.490 0.616 0.839
O14 0.146 0.143 0.171
H9 0.308 0.732 0.957
O15 0.010 0.884 0.339
H10 0.692 0.268 0.043
H11 0.579 0.163 0.920
H12 0.079 0.663 0.580
P4 0.765 0.664 0.784
O16 0.990 0.116 0.661
O17 0.439 0.030 0.644
H13 0.135 0.593 0.114
O18 0.939 0.530 0.856
H14 0.595 0.489 0.216
O19 0.561 0.970 0.356
H15 0.095 0.989 0.284
O20 0.244 0.705 0.539
H16 0.365 0.907 0.614

Summary:
symmetry: P2_1/c
DFT formation energy: -1.962 eV/atom

- What is the formula in the second record?
  MgP2H8O10